Entry 1:
DFT (GGA-PBE) results for NbTe4Cl4O after structural relaxation.

Properties
As for the crystal system: triclinic. The space-group type is P-1. The volume is 1268.2 Å³ per cell. Its energy of formation from the pure elements is -0.94 eV per atom.

Unit cell a=8.1417 b=12.4918 c=12.9429 alpha=81.25 beta=82.18 gamma=78.72
Element x y z (fractional)
1 Cl 0.5128 0.8944 0.3885
2 Cl 0.5695 0.8987 0.1209
3 Cl 0.9070 0.4042 0.6012
4 Cl 0.9177 0.0831 0.8586
5 Cl 0.9601 0.1296 0.5898
6 Cl 0.4872 0.1056 0.6115
7 Cl 0.6743 0.6205 0.1533
8 Cl 0.6177 0.6128 0.4135
9 Cl 0.0930 0.5958 0.3988
10 Cl 0.1487 0.6417 0.1333
11 Cl 0.8513 0.3583 0.8667
12 Cl 0.0823 0.9169 0.1414
13 Cl 0.0399 0.8704 0.4102
14 Cl 0.4305 0.1013 0.8791
15 Cl 0.3823 0.3872 0.5865
16 Cl 0.3257 0.3795 0.8467
17 Te 0.2512 0.6589 0.6416
18 Te 0.2310 0.8435 0.8766
19 Te 0.0667 0.2462 0.0826
20 Te 0.2229 0.2678 0.3842
21 Te 0.4824 0.6504 0.9155
22 Te 0.5176 0.3496 0.0845
23 Te 0.7574 0.8732 0.7587
24 Te 0.2754 0.8680 0.6558
25 Te 0.7771 0.7322 0.6158
26 Te 0.5647 0.5785 0.7201
27 Te 0.9333 0.7538 0.9174
28 Te 0.7690 0.1565 0.1234
29 Te 0.7246 0.1320 0.3442
30 Te 0.4353 0.4215 0.2799
31 Te 0.2426 0.1268 0.2413
32 Te 0.7488 0.3411 0.3584
33 O 0.3411 0.7495 0.2702
34 O 0.6589 0.2505 0.7298
35 O 0.8359 0.7678 0.2708
36 O 0.1641 0.2322 0.7292
37 Nb 0.9443 0.2421 0.7265
38 Nb 0.5574 0.7593 0.2682
39 Nb 0.4426 0.2407 0.7318
40 Nb 0.0557 0.7579 0.2735


Entry 2:
DFT (GGA-PBE) results for TiNb3Cl7O2 after structural relaxation.

Properties
As for the crystal system: monoclinic. The space-group type is C2/c. The volume is 1207.7 Å³ per cell. Its energy of formation from the pure elements is -1.78 eV per atom.

Unit cell a=9.8083 b=9.8083 c=12.7504 alpha=86.25 beta=86.25 gamma=98.30
Element x y z (fractional)
1 Nb 0.1740 0.5534 0.3919
2 Nb 0.6348 0.0953 0.1075
3 Nb 0.3652 0.9047 0.8925
4 Nb 0.6651 0.9258 0.9390
5 Nb 0.9258 0.6651 0.4390
6 Nb 0.8260 0.4466 0.6081
7 Nb 0.5534 0.1740 0.8919
8 Nb 0.3349 0.0742 0.0610
9 Nb 0.0953 0.6348 0.6075
10 Nb 0.0742 0.3349 0.5610
11 Nb 0.4466 0.8260 0.1081
12 Nb 0.9047 0.3652 0.3925
13 Cl 0.5814 0.9128 0.2508
14 Cl 0.7915 0.5498 0.3027
15 Cl 0.7846 0.9822 0.6111
16 Cl 0.3847 0.6153 0.2500
17 Cl 0.0872 0.4186 0.2492
18 Cl 0.2085 0.4502 0.6973
19 Cl 0.0940 0.1234 0.1486
20 Cl 0.0178 0.2154 0.8889
21 Cl 0.9822 0.7846 0.1111
22 Cl 0.7041 0.3170 0.0031
23 Cl 0.2154 0.0178 0.3889
24 Cl 0.6153 0.3847 0.7500
25 Cl 0.7025 0.6391 0.5477
26 Cl 0.6391 0.7025 0.0477
27 Cl 0.6830 0.2959 0.4969
28 Cl 0.3609 0.2975 0.9523
29 Cl 0.4502 0.2085 0.1973
30 Cl 0.3170 0.7041 0.5031
31 Cl 0.7920 0.2080 0.2500
32 Cl 0.8766 0.9060 0.3514
33 Cl 0.2959 0.6830 0.9969
34 Cl 0.2080 0.7920 0.7500
35 Cl 0.4186 0.0872 0.7492
36 Cl 0.1234 0.0940 0.6486
37 Cl 0.9060 0.8766 0.8514
38 Cl 0.2975 0.3609 0.4523
39 Cl 0.9128 0.5814 0.7508
40 Cl 0.5498 0.7915 0.8027
41 O 0.8027 0.0179 0.0416
42 O 0.0975 0.7214 0.3297
43 O 0.9821 0.1973 0.4584
44 O 0.2786 0.9025 0.1703
45 O 0.9025 0.2786 0.6703
46 O 0.0179 0.8027 0.5416
47 O 0.7214 0.0975 0.8297
48 O 0.1973 0.9821 0.9584
49 Ti 0.8897 0.1103 0.7500
50 Ti 0.1103 0.8897 0.2500
51 Ti 0.0000 0.0000 0.0000
52 Ti 0.0000 0.0000 0.5000